Below is a geometry-optimized LiU4As3O20 structure, with properties calculated at the PBE level.

The structure in extended XYZ format:
```
56
Lattice="-3.6523 3.6523 17.2222 3.6523 -3.6523 17.2222 3.6523 3.6523 -17.2222" Properties=species:S:1:pos:R:3 pbc="T T T"
Li 0.0000 0.0000 0.0000
Li 0.0000 3.6523 8.6111
U 3.6523 0.0000 1.6709
U 3.6523 0.0000 5.9603
U 0.0000 0.0000 10.2820
U 0.0000 0.0000 14.5714
U 3.6523 0.0000 16.6001
U 0.0000 3.6523 3.6605
U 0.0000 0.0000 25.2112
U 0.0000 0.0000 29.4937
As 0.0000 0.0000 2.7278
As 3.6523 0.0000 9.3064
As 3.6523 0.0000 13.2623
As 0.0000 0.0000 17.9175
As 0.0000 0.0000 21.8734
As 0.0000 3.6523 11.3389
O 1.3427 0.0000 1.6231
O 5.9618 0.0000 1.6231
O 3.6523 -1.3120 8.1786
O 3.6523 0.0000 3.5747
O 3.6523 -1.4074 12.3073
O 1.8659 0.0000 5.9663
O 5.4387 0.0000 5.9663
O 3.6523 1.8659 -2.6447
O 3.6523 -1.8162 16.5988
O 0.0000 0.0000 8.4800
O 2.2353 0.0000 10.2453
O 5.0692 0.0000 10.2453
O 0.0000 1.4184 3.6740
O 3.6523 2.2353 1.6342
O 0.0000 0.0000 12.1857
O 3.6523 1.3120 8.1786
O 1.2833 3.6523 -2.7991
O 2.3689 0.0000 14.4230
O 2.3403 3.6523 -0.4324
O 1.3120 0.0000 16.7897
O 3.6523 2.3689 5.8120
O 0.0000 3.6523 1.7087
O 3.6523 1.4074 12.3073
O 2.2448 3.6523 3.6962
O 1.4074 0.0000 20.9183
O 0.0000 2.3095 10.2341
O 0.0000 3.6523 5.4683
O 0.0000 1.7864 14.5774
O 3.6523 1.8162 16.5988
O 1.8361 3.6523 7.9877
O 1.8162 0.0000 25.2099
O 0.0000 1.4169 18.8564
O 0.0000 0.0000 27.5420
O 0.0000 1.2833 23.0341
O -1.4184 3.6523 12.2851
O 1.4184 3.6523 12.2851
O 0.0000 0.0000 31.3015
O 0.0000 5.8862 3.6740
O 0.0000 4.9950 10.2341
O 0.0000 3.6523 17.0911
```

SG: No. 109
Energy relative to the elements, eV per formula unit: -78.899
Total magnetic moment, μB/f.u.: 0.00
Calculated density, g cm⁻³: 5.435